The following is a PBE calculation of an optimized crystal structure of KNa5TeO6, from the Materials Project database.

Magnetization in μB per cell: 0.00
Raw total energy in eV per atom: -4.486

a = 6.7132 Å, b = 6.7132 Å, c = 11.2837 Å
α = 89.83°, β = 89.83°, γ = 121.65°
Last column: nearest neighbours and their distance in Å.
Sites, in units of the cell vectors:
K 0.6707 0.3293 0.2500  6 O 2.75-2.79
K 0.3293 0.6707 0.7500  6 O 2.75-2.79
Na 0.8604 0.7187 0.7539  4 O 2.30-2.33
Na 0.8599 0.1401 0.7500  4 O 2.32-2.34
Na 0.2813 0.1396 0.7461  4 O 2.30-2.33
Na 0.1396 0.2813 0.2461  4 O 2.30-2.33
Na 0.1401 0.8599 0.2500  4 O 2.32-2.34
Na 0.7187 0.8604 0.2539  4 O 2.30-2.33
Na 0.5000 0.0000 0.0000  4 O 2.36-2.40
Na 0.5000 0.5000 0.0000  4 O 2.33-2.34
Na 0.0000 0.5000 0.5000  4 O 2.36-2.40
Na 0.5000 0.5000 0.5000  4 O 2.33-2.34
Te 0.0000 0.0000 0.0000  6 O 1.98-2.02
Te 0.0000 0.0000 0.5000  6 O 1.98-2.02
O 0.8542 0.7111 0.3972  1 Te 2.02
O 0.8691 0.1458 0.3978  1 Te 1.99
O 0.2801 0.1494 0.3961  1 Te 1.98
O 0.1458 0.2889 0.6028  1 Te 2.02
O 0.1309 0.8542 0.6022  1 Te 1.99
O 0.7199 0.8506 0.6039  1 Te 1.98
O 0.1494 0.2801 0.8961  1 Te 1.98
O 0.1458 0.8691 0.8978  1 Te 1.99
O 0.7111 0.8542 0.8972  1 Te 2.02
O 0.8506 0.7199 0.1039  1 Te 1.98
O 0.8542 0.1309 0.1022  1 Te 1.99
O 0.2889 0.1458 0.1028  1 Te 2.02